36
Lattice="9.168 0.000 0.000 0.000 4.024 0.000 0.000 0.000 14.676" Properties=species:S:1:pos:R:3 comment="CdH4NCl3 | Materials Project | r²SCAN | optimized geometry" dft_energy_ev_per_atom=-7.6996 delta_e_f_ev_per_atom=-0.8650 pbc="T T T"
Cd 1.515 1.006 0.839
Cd 3.069 3.018 8.177
Cd 6.099 1.006 6.499
Cd 7.654 3.018 13.837
H 0.182 3.018 5.705
H 0.358 1.006 10.547
H 1.055 2.198 4.494
H 1.055 3.838 4.494
H 3.529 0.186 11.832
H 3.529 1.826 11.832
H 4.226 3.018 3.209
H 4.403 1.006 13.043
H 4.766 3.018 1.633
H 4.942 1.006 11.467
H 5.639 2.198 2.844
H 5.639 3.838 2.844
H 8.113 0.186 10.182
H 8.113 1.826 10.182
H 8.810 3.018 4.129
H 8.987 1.006 8.971
N 0.477 3.018 4.723
N 4.107 1.006 12.061
N 5.061 3.018 2.615
N 8.691 1.006 9.954
Cl 0.224 1.006 13.205
Cl 1.557 1.006 7.314
Cl 2.102 3.018 10.537
Cl 2.482 1.006 3.199
Cl 3.027 3.018 14.652
Cl 4.360 3.018 5.867
Cl 4.808 1.006 8.809
Cl 6.141 1.006 0.024
Cl 6.686 3.018 11.477
Cl 7.066 1.006 4.139
Cl 7.611 3.018 7.362
Cl 8.944 3.018 1.471

---

22
Lattice="6.057 3.497 4.969 -6.057 3.497 4.969 0.000 -6.994 4.969" Properties=species:S:1:pos:R:3 comment="K4CdCl6 | Materials Project | r²SCAN | optimized geometry" dft_energy_ev_per_atom=-9.3214 delta_e_f_ev_per_atom=-1.9494 pbc="T T T"
K -3.774 0.457 6.211
K 0.000 0.000 3.726
K -2.283 -3.040 8.695
K 1.491 -3.497 6.211
K -1.491 3.497 8.695
K 2.283 3.040 6.211
K 0.000 0.000 11.179
K 3.774 -0.457 8.695
Cd 0.000 0.000 0.000
Cd 0.000 0.000 7.453
Cl -5.282 -1.478 8.405
Cl -1.361 -5.314 6.501
Cl -1.361 -1.680 5.920
Cl -3.921 3.835 6.501
Cl -0.775 2.018 5.920
Cl -2.135 0.338 8.985
Cl 2.135 -0.338 5.920
Cl 0.775 -2.018 8.985
Cl 3.921 -3.835 8.405
Cl 1.361 1.680 8.985
Cl 1.361 5.314 8.405
Cl 5.282 1.478 6.501

---

14
Lattice="-3.728 3.832 5.253 3.728 -3.832 5.253 3.728 3.832 -5.253" Properties=species:S:1:pos:R:3 comment="Li2CdCl4 | Materials Project | r²SCAN | optimized geometry" dft_energy_ev_per_atom=-8.7725 delta_e_f_ev_per_atom=-1.7027 pbc="T T T"
Li 1.864 1.916 -2.626
Li 1.864 -1.916 2.626
Li 0.000 1.916 1.447
Li 3.728 1.916 3.806
Cd 3.728 0.000 0.000
Cd 0.000 0.000 5.253
Cl 3.728 -0.129 2.590
Cl 3.728 3.703 -2.590
Cl 1.885 1.916 -0.052
Cl 5.572 1.916 -0.052
Cl -1.843 1.916 5.305
Cl 1.843 1.916 5.305
Cl 0.000 0.129 7.843
Cl 0.000 3.961 2.663